# 1
Density functional theory data (PBE) for Lu2Ga3Ni14 after structural relaxation.

Calculated values
ΔE_f: -6.84 eV/f.u.

POSCAR file:
```
Lu2Ga3Ni14
1.0
4.150 -7.187 0.000
4.150 7.187 0.000
0.000 0.000 8.115
Lu Ga Ni
4 6 28
Cartesian
0.000 0.000 2.029 Lu
0.000 0.000 6.086 Lu
4.150 2.396 6.086 Lu
4.150 -2.396 2.029 Lu
4.150 0.000 4.057 Ga
2.075 -3.594 4.057 Ga
2.075 3.594 4.057 Ga
4.150 0.000 0.000 Ga
2.075 -3.594 0.000 Ga
2.075 3.594 0.000 Ga
4.150 2.396 3.217 Ni
4.150 -2.396 4.897 Ni
4.150 -2.396 7.275 Ni
4.150 2.396 0.840 Ni
2.835 0.245 2.029 Ni
6.670 2.333 2.029 Ni
2.944 4.610 2.029 Ni
5.464 0.245 2.029 Ni
1.630 2.333 2.029 Ni
5.355 4.610 2.029 Ni
5.464 -0.245 6.086 Ni
1.630 -2.333 6.086 Ni
5.355 -4.610 6.086 Ni
2.835 -0.245 6.086 Ni
6.670 -2.333 6.086 Ni
2.944 -4.610 6.086 Ni
4.150 4.812 4.217 Ni
2.057 1.188 4.217 Ni
6.242 1.188 4.217 Ni
4.150 -4.812 3.897 Ni
6.242 -1.188 3.897 Ni
2.057 -1.188 3.897 Ni
4.150 -4.812 0.160 Ni
6.242 -1.188 0.160 Ni
2.057 -1.188 0.160 Ni
4.150 4.812 7.955 Ni
2.057 1.188 7.955 Ni
6.242 1.188 7.955 Ni
```

=====

# 2
Density functional theory data (PBE) for CaCu2Si2 after structural relaxation.

Calculated values
ΔE_f: -1.86 eV/f.u.

POSCAR file:
```
CaCu2Si2
1.0
4.048 0.000 0.000
0.000 4.048 0.000
-2.024 -2.024 4.976
Ca Cu Si
1 2 2
Cartesian
0.000 0.000 0.000 Ca
0.000 2.024 2.488 Cu
2.024 0.000 2.488 Cu
2.024 2.024 1.183 Si
0.000 0.000 3.794 Si
```

=====

# 3
Density functional theory data (PBE) for BiSbTe2 after structural relaxation.

Calculated values
ΔE_f: -1.35 eV/f.u.

POSCAR file:
```
BiSbTe2
1.0
-0.956 3.330 -2.674
-0.844 0.321 4.282
22.949 9.639 3.802
Bi Sb Te
3 3 6
Cartesian
19.159 9.741 5.284 Bi
2.011 2.539 2.443 Bi
9.829 6.841 1.425 Bi
12.235 5.139 2.027 Sb
15.366 8.148 4.655 Sb
5.799 4.130 3.070 Sb
3.944 4.369 0.450 Te
18.108 7.606 3.000 Te
20.729 11.420 3.231 Te
1.296 0.545 0.215 Te
13.792 8.506 2.082 Te
8.227 3.455 1.363 Te
```

=====

# 4
Density functional theory data (PBE) for TaBeO3 after structural relaxation.

Calculated values
ΔE_f: -10.54 eV/f.u.

POSCAR file:
```
TaBeO3
1.0
-0.856 1.709 -2.838
0.456 -2.843 -1.849
-3.281 -0.840 0.483
Ta Be O
1 1 3
Cartesian
0.000 0.000 0.000 Ta
-1.841 -0.987 -2.102 Be
-0.200 -0.567 -2.344 O
-2.069 0.434 -1.177 O
-1.413 -1.841 -0.683 O
```

=====

# 5
Density functional theory data (PBE) for Sr5Re3BrO15 after structural relaxation.

Calculated values
ΔE_f: -65.65 eV/f.u.

POSCAR file:
```
Sr5Re3BrO15
1.0
7.555 0.000 0.000
0.000 10.754 0.000
0.000 0.000 18.819
Sr Re Br O
20 12 4 60
Cartesian
1.959 4.177 2.028 Sr
5.596 6.577 16.791 Sr
1.818 9.554 16.791 Sr
5.596 6.577 11.438 Sr
5.736 1.200 2.028 Sr
1.959 4.177 7.381 Sr
5.736 1.200 7.381 Sr
1.818 9.554 11.438 Sr
2.119 5.213 14.114 Sr
5.436 5.541 4.705 Sr
1.658 10.590 4.705 Sr
5.896 0.164 14.114 Sr
0.005 2.729 11.009 Sr
7.550 8.025 7.810 Sr
3.773 8.106 7.810 Sr
7.550 8.025 1.600 Sr
3.782 2.648 11.009 Sr
0.005 2.729 17.220 Sr
3.782 2.648 17.220 Sr
3.773 8.106 1.600 Sr
1.664 1.575 14.114 Re
5.891 9.179 4.705 Re
2.114 6.952 4.705 Re
5.441 3.802 14.114 Re
1.566 6.009 10.483 Re
5.989 4.745 8.336 Re
2.211 0.632 8.336 Re
5.989 4.745 1.074 Re
5.343 10.122 10.483 Re
1.566 6.009 17.746 Re
5.343 10.122 17.746 Re
2.211 0.632 1.074 Re
0.900 8.135 14.114 Br
6.655 2.619 4.705 Br
2.877 2.758 4.705 Br
4.677 7.996 14.114 Br
0.950 1.183 2.185 O
6.605 9.571 16.634 O
2.828 6.560 16.634 O
6.605 9.571 11.595 O
4.727 4.194 2.185 O
0.950 1.183 7.225 O
4.727 4.194 7.225 O
2.828 6.560 11.595 O
1.711 1.074 10.073 O
5.843 9.680 8.747 O
2.066 6.451 8.747 O
5.843 9.680 0.663 O
5.489 4.303 10.073 O
1.711 1.074 18.156 O
5.489 4.303 18.156 O
2.066 6.451 0.663 O
3.154 0.657 14.114 O
4.400 10.097 4.705 O
0.623 6.034 4.705 O
6.932 4.720 14.114 O
1.895 2.938 12.850 O
5.660 7.816 5.969 O
1.882 8.315 5.969 O
5.660 7.816 3.440 O
5.672 2.439 12.850 O
1.895 2.938 15.379 O
5.672 2.439 15.379 O
1.882 8.315 3.440 O
0.294 5.260 11.582 O
7.261 5.494 7.237 O
3.484 10.637 7.237 O
7.261 5.494 2.173 O
4.071 0.117 11.582 O
0.294 5.260 16.646 O
4.071 0.117 16.646 O
3.484 10.637 2.173 O
0.417 7.460 10.375 O
7.138 3.294 8.445 O
3.361 2.083 8.445 O
7.138 3.294 0.965 O
4.194 8.671 10.375 O
0.417 7.460 17.854 O
4.194 8.671 17.854 O
3.361 2.083 0.965 O
0.590 0.766 12.844 O
6.965 9.988 5.975 O
3.188 6.143 5.975 O
6.965 9.988 3.434 O
4.367 4.611 12.844 O
0.590 0.766 15.385 O
4.367 4.611 15.385 O
3.188 6.143 3.434 O
1.994 4.264 10.000 O
5.561 6.490 8.819 O
1.784 9.641 8.819 O
5.561 6.490 0.590 O
5.771 1.113 10.000 O
1.994 4.264 18.229 O
5.771 1.113 18.229 O
1.784 9.641 0.590 O
```

=====

# 6
Density functional theory data (PBE) for Na4Ca2SiAs4 after structural relaxation.

Calculated values
ΔE_f: -7.52 eV/f.u.

POSCAR file:
```
Na4Ca2SiAs4
1.0
-5.094 6.307 4.857
-3.003 -2.861 -8.492
-3.841 -5.251 3.004
Na Ca Si As
8 4 2 8
Cartesian
-6.748 -1.737 -4.578 Na
-9.655 -0.035 3.225 Na
-7.228 2.409 -1.330 Na
-2.700 0.354 0.858 Na
-5.506 3.913 3.512 Na
-4.301 -3.670 0.323 Na
-8.844 -1.553 -1.775 Na
-5.947 -5.195 -4.425 Na
-3.303 -3.211 -3.075 Ca
-5.497 -0.490 -0.999 Ca
-6.221 -1.464 4.794 Ca
-7.517 -2.679 1.137 Ca
-6.287 0.619 1.920 Si
-7.511 -5.063 -1.030 Si
-2.647 -0.485 -1.964 As
-5.875 1.067 -3.572 As
-3.838 -1.609 -5.589 As
-8.197 0.203 0.495 As
-4.962 -1.382 2.054 As
-7.034 1.359 4.058 As
-5.011 2.365 0.849 As
-6.250 -3.252 -2.005 As
```

=====

# 7
Density functional theory data (PBE) for AcZn2In after structural relaxation.

Calculated values
ΔE_f: -1.11 eV/f.u.

POSCAR file:
```
AcZn2In
1.0
0.000 3.663 3.663
3.663 0.000 3.663
3.663 3.663 0.000
Ac Zn In
1 2 1
Cartesian
0.000 0.000 0.000 Ac
5.495 5.495 5.495 Zn
1.832 1.832 1.832 Zn
3.663 3.663 3.663 In
```

=====

# 8
Density functional theory data (PBE) for LuOF after structural relaxation.

Calculated values
ΔE_f: -13.03 eV/f.u.

POSCAR file:
```
LuOF
1.0
5.400 0.000 0.000
0.000 5.470 0.000
0.000 0.944 5.410
Lu O F
4 4 4
Cartesian
2.559 4.463 3.857 Lu
2.841 1.951 1.553 Lu
5.259 2.423 4.258 Lu
0.141 3.991 1.152 Lu
1.331 2.995 2.760 O
4.069 3.419 2.650 O
4.031 3.891 5.355 O
1.369 2.523 0.055 O
0.942 5.952 4.564 F
4.459 0.462 0.846 F
3.642 0.934 3.551 F
1.758 5.480 1.859 F
```

=====

# 9
Density functional theory data (PBE) for KZnH4Br3O2 after structural relaxation.

Calculated values
ΔE_f: -13.86 eV/f.u.

POSCAR file:
```
KZnH4Br3O2
1.0
-8.227 4.097 8.737
3.738 -2.922 4.889
8.074 6.310 4.643
K Zn H Br O
4 4 16 12 8
Cartesian
2.207 8.850 13.231 K
4.073 2.458 8.784 K
1.377 -1.365 5.038 K
-0.489 5.027 9.486 K
-1.661 8.470 11.547 Zn
6.351 3.631 12.158 Zn
5.246 -0.985 6.722 Zn
-2.766 3.855 6.112 Zn
5.090 5.469 7.058 H
2.326 5.274 13.750 H
-1.506 2.017 11.211 H
1.258 2.212 4.519 H
5.235 6.925 7.730 H
1.092 4.360 14.235 H
-1.651 0.561 10.539 H
2.492 3.125 4.035 H
6.497 3.622 6.966 H
2.961 6.104 11.675 H
-2.912 3.864 11.304 H
0.624 1.381 6.595 H
5.384 3.673 5.881 H
4.085 6.047 12.747 H
-1.800 3.812 12.389 H
-0.501 1.439 5.523 H
1.807 4.290 7.029 Br
3.366 7.570 16.162 Br
1.777 3.196 11.240 Br
0.218 -0.084 2.108 Br
5.769 5.046 10.320 Br
-0.520 6.776 12.790 Br
-2.185 2.439 7.950 Br
4.104 0.710 5.480 Br
8.091 1.955 8.546 Br
1.995 7.457 9.428 Br
-4.507 5.530 9.724 Br
1.590 0.028 8.842 Br
1.982 4.695 14.503 O
4.714 6.406 7.071 O
1.602 2.790 3.767 O
-1.130 1.080 11.199 O
3.128 6.228 12.632 O
5.563 3.880 6.823 O
0.457 1.258 5.638 O
-1.979 3.605 11.446 O
```

=====

# 10
Density functional theory data (PBE) for SrC2 after structural relaxation.

Calculated values
ΔE_f: 0.51 eV/f.u.

POSCAR file:
```
SrC2
1.0
2.726 -2.517 0.000
2.726 2.517 0.000
0.402 0.000 3.689
Sr C
1 2
Cartesian
0.000 0.000 0.000 Sr
3.463 0.000 2.182 C
2.391 0.000 1.507 C
```

=====

# 11
Density functional theory data (PBE) for Ba2In3Au after structural relaxation.

Calculated values
ΔE_f: -3.09 eV/f.u.

POSCAR file:
```
Ba2In3Au
1.0
3.595 0.286 5.448
5.423 3.234 1.677
0.762 6.426 5.395
Ba In Au
2 3 1
Cartesian
0.949 4.670 4.112 Ba
8.826 5.295 8.420 Ba
6.132 4.133 6.205 In
6.754 8.121 9.625 In
3.112 1.821 2.933 In
3.567 5.800 6.265 Au
```

=====

# 12
Density functional theory data (PBE) for SiO2 after structural relaxation.

Calculated values
ΔE_f: -9.27 eV/f.u.

POSCAR file:
```
SiO2
1.0
0.147 -4.687 12.053
0.796 3.165 10.158
-5.023 -5.721 2.778
Si O
8 16
Cartesian
-4.265 -8.145 12.654 Si
-1.631 -4.073 8.425 Si
0.103 0.942 12.352 Si
-0.622 0.334 9.704 Si
-0.327 0.412 4.053 Si
0.399 1.020 6.701 Si
-2.521 -4.602 5.810 Si
-3.375 -7.617 15.268 Si
-3.007 -4.302 9.342 O
-2.215 -2.652 2.355 O
-2.092 -4.751 21.894 O
-1.751 -3.560 6.850 O
-0.289 -0.062 5.645 O
-1.072 -2.941 15.646 O
-4.145 -8.659 14.229 O
0.175 -0.970 10.140 O
-0.252 -2.363 18.318 O
-3.021 -3.766 4.513 O
0.065 1.416 10.760 O
-4.027 -6.113 15.590 O
-3.828 -4.880 6.671 O
-0.112 0.677 8.202 O
-0.436 -3.249 9.150 O
-0.510 -0.905 3.124 O
```

=====

Record-wise DFT total energy values, in eV/atom: -5.57; -4.61; -3.70; -7.78; -7.37; -3.72; -2.63; -7.75; -3.93; -6.55; -3.08; -7.74